# 1
Compound: Tl3CrF6
Source: Materials Project
Functional: PBE+U
Structure: relaxed

Unit cell a=6.468 b=6.468 c=6.468 alpha=60.00 beta=60.00 gamma=60.00
Fractional coordinates of all 10 atoms:
F: 0.786 0.786 0.214
F: 0.786 0.214 0.786
F: 0.786 0.214 0.214
F: 0.214 0.786 0.214
F: 0.214 0.786 0.786
F: 0.214 0.214 0.786
Tl: 0.750 0.750 0.750
Tl: 0.500 0.500 0.500
Tl: 0.250 0.250 0.250
Cr: 0.000 0.000 0.000

Properties
- crystal system = cubic

---

# 2
Compound: FeCSO7
Source: Materials Project
Functional: PBE+U
Structure: relaxed

Unit cell a=6.479 b=5.159 c=8.725 alpha=87.72 beta=90.00 gamma=90.00
Fractional coordinates of all 20 atoms:
O: 0.434 0.777 0.332
O: 0.250 0.459 0.837
O: 0.750 0.961 0.122
O: 0.750 0.704 0.921
O: 0.750 0.541 0.163
O: 0.250 0.039 0.878
O: 0.750 0.135 0.432
O: 0.250 0.434 0.473
O: 0.566 0.223 0.668
O: 0.250 0.296 0.079
O: 0.066 0.777 0.332
O: 0.750 0.566 0.527
O: 0.934 0.223 0.668
O: 0.250 0.865 0.568
S: 0.250 0.716 0.426
S: 0.750 0.284 0.574
C: 0.250 0.265 0.938
C: 0.750 0.735 0.062
Fe: 0.750 0.794 0.337
Fe: 0.250 0.206 0.663

Properties
- crystal system = monoclinic
- total magnetic moment (Bohr magnetons per cell) = 7.999

---

# 3
Compound: NiH15IO12
Source: Materials Project
Functional: PBE+U
Structure: relaxed

Unit cell a=11.036 b=5.834 c=11.019 alpha=66.14 beta=90.00 gamma=90.00
Fractional coordinates of all 58 atoms:
H: 0.119 0.115 0.962
H: 0.115 0.760 0.858
H: 0.359 0.704 0.879
H: 0.030 0.352 0.229
H: 0.463 0.945 0.107
H: 0.044 0.573 0.817
H: 0.700 0.054 0.104
H: 0.675 0.058 0.623
H: 0.491 0.352 0.822
H: 0.881 0.115 0.462
H: 0.300 0.054 0.604
H: 0.121 0.745 0.124
H: 0.020 0.258 0.740
H: 0.509 0.352 0.322
H: 0.512 0.670 0.449
H: 0.488 0.670 0.949
H: 0.970 0.352 0.729
H: 0.208 0.157 0.225
H: 0.604 0.444 0.875
H: 0.396 0.444 0.375
H: 0.003 0.985 0.448
H: 0.641 0.704 0.379
H: 0.885 0.760 0.358
H: 0.956 0.573 0.317
H: 0.997 0.985 0.948
H: 0.537 0.945 0.607
H: 0.879 0.745 0.624
H: 0.792 0.157 0.725
H: 0.980 0.258 0.240
H: 0.325 0.058 0.123
O: 0.159 0.621 0.207
O: 0.640 0.623 0.966
O: 0.748 0.240 0.641
O: 0.875 0.641 0.315
O: 0.596 0.602 0.458
O: 0.404 0.602 0.958
O: 0.159 0.955 0.426
O: 0.360 0.623 0.466
O: 0.882 0.401 0.005
O: 0.125 0.641 0.815
O: 0.118 0.401 0.505
O: 0.650 0.908 0.112
O: 0.849 0.197 0.101
O: 0.624 0.920 0.601
O: 0.376 0.920 0.101
O: 0.841 0.955 0.926
O: 0.252 0.240 0.141
O: 0.914 0.960 0.461
O: 0.350 0.908 0.612
O: 0.421 0.375 0.310
O: 0.841 0.621 0.707
O: 0.579 0.375 0.810
O: 0.151 0.197 0.601
O: 0.086 0.960 0.961
I: 0.239 0.702 0.553
I: 0.761 0.702 0.053
Ni: 0.315 0.563 0.139
Ni: 0.685 0.563 0.639

Properties
- crystal system = monoclinic
- total magnetic moment (Bohr magnetons per cell) = 8.000

---

# 4
Compound: KNa7V7MoO20
Source: Materials Project
Functional: PBE+U
Structure: relaxed

Unit cell a=11.002 b=11.322 c=16.614 alpha=109.98 beta=108.93 gamma=89.94
Fractional coordinates of all 144 atoms:
V: 0.851 0.912 0.746
V: 0.354 0.410 0.749
V: 0.749 0.744 0.994
V: 0.007 0.000 0.501
V: 0.757 0.251 0.501
V: 0.751 0.253 0.998
V: 0.507 0.001 0.502
V: 0.605 0.586 0.252
V: 0.105 0.587 0.253
V: 0.506 0.496 0.997
V: 0.613 0.096 0.257
V: 0.603 0.587 0.747
V: 0.257 0.251 0.502
V: 0.255 0.749 0.500
V: 0.363 0.911 0.257
V: 0.863 0.911 0.257
V: 0.852 0.410 0.748
V: 0.005 0.501 0.500
V: 0.259 0.255 0.998
V: 0.506 0.501 0.500
V: 0.351 0.911 0.746
V: 0.755 0.749 0.499
V: 0.104 0.090 0.749
V: 0.603 0.090 0.749
V: 0.355 0.416 0.252
V: 0.102 0.586 0.747
V: 0.854 0.415 0.252
V: 0.112 0.096 0.257
O: 0.145 0.871 0.512
O: 0.203 0.959 0.265
O: 0.619 0.112 0.490
O: 0.869 0.128 0.490
O: 0.933 0.556 0.748
O: 0.072 0.097 0.142
O: 0.939 0.900 0.854
O: 0.953 0.057 0.265
O: 0.935 0.563 0.253
O: 0.119 0.112 0.490
O: 0.438 0.896 0.852
O: 0.123 0.613 0.983
O: 0.373 0.610 0.981
O: 0.380 0.880 0.004
O: 0.826 0.797 0.145
O: 0.082 0.100 0.641
O: 0.938 0.394 0.853
O: 0.943 0.401 0.359
O: 0.185 0.440 0.253
O: 0.448 0.895 0.362
O: 0.183 0.942 0.748
O: 0.198 0.217 0.362
O: 0.119 0.611 0.489
O: 0.331 0.791 0.639
O: 0.115 0.119 0.987
O: 0.948 0.895 0.363
O: 0.831 0.291 0.640
O: 0.434 0.556 0.748
O: 0.866 0.125 0.985
O: 0.189 0.707 0.852
O: 0.702 0.958 0.265
O: 0.620 0.605 0.987
O: 0.433 0.058 0.748
O: 0.395 0.391 0.512
O: 0.442 0.401 0.358
O: 0.129 0.879 0.005
O: 0.831 0.791 0.640
O: 0.452 0.057 0.265
O: 0.698 0.217 0.362
O: 0.582 0.100 0.641
O: 0.640 0.371 0.008
O: 0.933 0.058 0.748
O: 0.683 0.942 0.748
O: 0.391 0.382 0.007
O: 0.576 0.099 0.145
O: 0.683 0.440 0.748
O: 0.145 0.371 0.511
O: 0.693 0.708 0.359
O: 0.193 0.708 0.359
O: 0.631 0.873 0.004
O: 0.369 0.628 0.489
O: 0.365 0.127 0.985
O: 0.619 0.121 0.983
O: 0.895 0.891 0.512
O: 0.895 0.391 0.511
O: 0.184 0.440 0.748
O: 0.327 0.795 0.145
O: 0.869 0.628 0.489
O: 0.645 0.871 0.512
O: 0.085 0.588 0.143
O: 0.081 0.598 0.639
O: 0.689 0.705 0.853
O: 0.333 0.307 0.141
O: 0.690 0.208 0.855
O: 0.441 0.396 0.855
O: 0.887 0.378 0.011
O: 0.581 0.599 0.640
O: 0.332 0.291 0.641
O: 0.395 0.891 0.512
O: 0.882 0.885 0.001
O: 0.436 0.563 0.254
O: 0.869 0.615 0.983
O: 0.619 0.611 0.489
O: 0.582 0.584 0.141
O: 0.190 0.208 0.856
O: 0.143 0.372 0.007
O: 0.645 0.371 0.511
O: 0.369 0.128 0.490
O: 0.685 0.440 0.254
O: 0.831 0.304 0.142
Na: 0.448 0.212 0.891
Na: 0.198 0.933 0.396
Na: 0.449 0.706 0.890
Na: 0.801 0.566 0.107
Na: 0.803 0.568 0.607
Na: 0.554 0.294 0.107
Na: 0.554 0.289 0.607
Na: 0.055 0.288 0.607
Na: 0.195 0.931 0.889
Na: 0.698 0.434 0.395
Na: 0.948 0.711 0.395
Na: 0.449 0.214 0.397
Na: 0.948 0.214 0.396
Na: 0.448 0.711 0.395
Na: 0.053 0.789 0.607
Na: 0.304 0.568 0.607
Na: 0.944 0.210 0.890
Na: 0.692 0.930 0.889
Na: 0.051 0.293 0.108
Na: 0.805 0.069 0.607
Na: 0.202 0.430 0.891
Na: 0.699 0.933 0.396
Na: 0.942 0.708 0.889
Na: 0.199 0.434 0.395
Na: 0.693 0.430 0.890
Na: 0.553 0.789 0.607
Na: 0.310 0.564 0.107
Na: 0.304 0.069 0.607
K: 0.054 0.798 0.116
K: 0.559 0.795 0.116
K: 0.805 0.070 0.117
K: 0.307 0.071 0.117
Mo: 0.504 0.000 0.996
Mo: 0.999 0.001 0.995
Mo: 0.254 0.744 0.995
Mo: 0.002 0.496 0.997

Properties
- crystal system = triclinic
- total magnetic moment (Bohr magnetons per cell) = 34.241

---

# 5
Compound: Li4Mn3O6F
Source: Materials Project
Functional: PBE+U
Structure: relaxed

Unit cell a=4.448 b=8.754 c=7.708 alpha=111.99 beta=106.77 gamma=75.28
Fractional coordinates of all 28 atoms:
O: 0.570 0.630 0.770
O: 0.935 0.865 0.734
O: 0.358 0.727 0.444
O: 0.283 0.059 0.626
O: 0.434 0.365 0.235
O: 0.145 0.798 0.089
O: 0.994 0.492 0.480
O: 0.070 0.130 0.270
O: 0.858 0.227 0.944
O: 0.645 0.298 0.589
O: 0.783 0.559 0.126
O: 0.494 0.992 0.980
Li: 0.145 0.279 0.568
Li: 0.070 0.648 0.788
Li: 0.284 0.578 0.146
Li: 0.645 0.779 0.068
Li: 0.858 0.709 0.426
Li: 0.570 0.148 0.288
Li: 0.359 0.209 0.926
Li: 0.784 0.078 0.646
Mn: 0.714 0.429 0.857
Mn: 0.501 0.496 0.499
Mn: 0.927 0.361 0.215
Mn: 0.427 0.861 0.715
Mn: 0.214 0.929 0.357
Mn: 0.001 0.996 0.999
F: 0.714 0.929 0.357
F: 0.214 0.429 0.857

Properties
- total magnetic moment (Bohr magnetons per cell) = 0.000

---

# 6
Compound: Li4Ti3Nb3V2O16
Source: Materials Project
Functional: PBE+U
Structure: relaxed

Unit cell a=6.072 b=6.072 c=10.020 alpha=89.71 beta=89.71 gamma=59.36
Fractional coordinates of all 28 atoms:
Li: 0.007 0.007 0.996
Li: 0.668 0.668 0.899
Li: 0.004 0.004 0.498
Li: 0.332 0.332 0.389
O: 0.519 0.519 0.328
O: 0.665 0.665 0.106
O: 0.319 0.842 0.606
O: 0.315 0.315 0.595
O: 0.160 0.685 0.105
O: 0.488 0.488 0.849
O: 0.842 0.319 0.606
O: 0.843 0.843 0.600
O: 0.966 0.512 0.331
O: 0.004 0.004 0.815
O: 0.002 0.002 0.317
O: 0.038 0.479 0.830
O: 0.156 0.156 0.109
O: 0.479 0.038 0.830
O: 0.685 0.160 0.105
O: 0.512 0.966 0.331
Nb: 0.188 0.644 0.711
Nb: 0.644 0.188 0.711
Nb: 0.831 0.831 0.214
V: 0.669 0.669 0.484
V: 0.332 0.332 0.990
Ti: 0.336 0.832 0.216
Ti: 0.832 0.336 0.216
Ti: 0.163 0.163 0.718

Properties
- crystal system = monoclinic
- total magnetic moment (Bohr magnetons per cell) = 6.131

---

Calculated total energy / eV/atom: -4.7952 -6.5615 -4.6243 -6.5771 -6.3405 -8.0183
Calculated volume / Å³/atom: 19.13 14.57 11.19 12.68 9.39 11.35